1.
Material: CsSmP4O12
Method: DFT, PBE
State: relaxed

For the energy above the most stable polymorph in this dataset, the calculation gives 0.000 eV per atom.

Cell: 13.2541 13.2515 13.2541 Å, 70.53 70.52 109.47°
Sites, in units of the cell vectors:
Cs  0.0006  0.0014  0.7619
Cs  0.2626  0.7619  0.7366
Cs  0.4990  0.7365  0.0015
Cs  0.7381  0.5014  0.4994
Cs  0.4985  0.2365  0.0010
Cs  0.7634  0.2619  0.2374
Sm  0.8791  0.2520  0.8722
Sm  0.6278  0.7520  0.6209
Sm  0.3738  0.1253  0.7509
Sm  0.1252  0.3728  0.2520
Sm  0.7491  0.6253  0.1262
Sm  0.2480  0.8728  0.3748
P  0.7413  0.9145  0.0801
P  0.0067  0.5851  0.6722
P  0.7591  0.6796  0.8261
P  0.4926  0.8189  0.4210
P  0.8278  0.0851  0.4933
P  0.4199  0.4145  0.7587
P  0.0790  0.3189  0.0074
P  0.6739  0.1796  0.7409
P  0.1730  0.2594  0.8201
P  0.5800  0.9943  0.6786
P  0.9221  0.2421  0.5847
P  0.3261  0.5059  0.9145
P  0.2580  0.1730  0.3200
P  0.9943  0.5796  0.1797
P  0.2406  0.9206  0.0865
P  0.5055  0.3270  0.4145
P  0.0855  0.8270  0.9945
P  0.4135  0.4206  0.2594
P  0.3203  0.0796  0.5057
P  0.1800  0.6730  0.2420
P  0.9153  0.7421  0.5779
P  0.5855  0.0059  0.1739
P  0.6799  0.7594  0.3270
P  0.8214  0.4943  0.9200
O  0.7181  0.8051  0.0617
O  0.1327  0.6964  0.5876
O  0.7821  0.7198  0.9130
O  0.3668  0.7822  0.4376
O  0.9124  0.1964  0.3673
O  0.4383  0.3051  0.7819
O  0.0624  0.2822  0.1332
O  0.5870  0.2198  0.7179
O  0.0849  0.2802  0.7817
O  0.5617  0.8669  0.7204
O  0.9356  0.2160  0.6966
O  0.4132  0.6330  0.8048
O  0.2840  0.0873  0.2802
O  0.8672  0.5623  0.2197
O  0.2197  0.9381  0.1952
O  0.6332  0.4129  0.3051
O  0.1949  0.9129  0.8668
O  0.3048  0.4381  0.2803
O  0.2803  0.0623  0.6328
O  0.2198  0.5873  0.2160
O  0.8034  0.7160  0.5644
O  0.6952  0.1330  0.0868
O  0.7183  0.7802  0.4151
O  0.7796  0.3669  0.9383
O  0.6092  0.9122  0.1276
O  0.9601  0.5882  0.8028
O  0.8909  0.7631  0.6969
O  0.5408  0.7378  0.3711
O  0.6972  0.0882  0.5399
O  0.3724  0.4122  0.8908
O  0.1289  0.2378  0.9592
O  0.8031  0.2631  0.6091
O  0.3030  0.3907  0.7373
O  0.6278  0.0400  0.7631
O  0.8718  0.1089  0.5882
O  0.1970  0.4597  0.9119
O  0.3912  0.3028  0.2375
O  0.0400  0.6279  0.2631
O  0.1092  0.8718  0.0878
O  0.4602  0.1970  0.4122
O  0.0878  0.6970  0.0398
O  0.4122  0.3718  0.3908
O  0.2369  0.1279  0.4600
O  0.2625  0.8028  0.1088
O  0.9118  0.6089  0.6282
O  0.5881  0.9597  0.3030
O  0.7627  0.8907  0.1970
O  0.7369  0.5400  0.8722
O  0.8418  0.0413  0.9742
O  0.9816  0.4571  0.7013
O  0.6575  0.6832  0.8009
O  0.5162  0.8167  0.5252
O  0.7987  0.9571  0.5184
O  0.5258  0.5413  0.6582
O  0.9748  0.3167  0.9838
O  0.6991  0.1832  0.8425
O  0.2002  0.1586  0.8160
O  0.4745  0.0162  0.6835
O  0.0247  0.3421  0.4572
O  0.3011  0.4844  0.0412
O  0.1582  0.2008  0.3172
O  0.0157  0.4744  0.1831
O  0.3417  0.0251  0.9582
O  0.4843  0.3003  0.5415
O  0.9585  0.8003  0.0157
O  0.5418  0.5251  0.1583
O  0.3169  0.9744  0.4843
O  0.1828  0.7008  0.3418
O  0.0428  0.8421  0.4753
O  0.4588  0.9844  0.1989
O  0.6840  0.6586  0.2998
O  0.8165  0.5162  0.0255

---

2.
Material: CsSmP4O12
Method: DFT, PBE
State: relaxed

For the energy above the most stable polymorph in this dataset, the calculation gives 0.007 eV per atom.

Cell: 9.0816 10.5910 13.1081 Å, 56.46 90.00 90.00°
Sites, in units of the cell vectors:
Cs  0.0659  0.7234  0.9611
Cs  0.4341  0.7234  0.4611
Cs  0.9341  0.2766  0.0389
Cs  0.5659  0.2766  0.5389
Sm  0.7742  0.8164  0.6812
Sm  0.7258  0.8164  0.1812
Sm  0.2258  0.1836  0.3188
Sm  0.2742  0.1836  0.8188
P  0.4085  0.8867  0.7588
P  0.0915  0.8867  0.2588
P  0.5915  0.1133  0.2412
P  0.9085  0.1133  0.7412
P  0.0303  0.5345  0.7130
P  0.4697  0.5345  0.2130
P  0.9697  0.4655  0.2870
P  0.5303  0.4655  0.7870
P  0.1742  0.8266  0.6345
P  0.3258  0.8266  0.1345
P  0.8258  0.1734  0.3655
P  0.6742  0.1734  0.8655
P  0.8954  0.7014  0.4737
P  0.6046  0.7014  0.9737
P  0.1046  0.2986  0.5263
P  0.3954  0.2986  0.0263
O  0.0977  0.3804  0.7905
O  0.4023  0.3804  0.2905
O  0.9023  0.6196  0.2095
O  0.5977  0.6196  0.7095
O  0.2933  0.7815  0.7425
O  0.2067  0.7815  0.2425
O  0.7067  0.2185  0.2575
O  0.7933  0.2185  0.7575
O  0.1614  0.6605  0.6552
O  0.3386  0.6605  0.1552
O  0.8386  0.3395  0.3448
O  0.6614  0.3395  0.8448
O  0.9615  0.5479  0.5926
O  0.5385  0.5479  0.0926
O  0.0385  0.4521  0.4074
O  0.4615  0.4521  0.9074
O  0.4501  0.7671  0.9002
O  0.0499  0.7671  0.4002
O  0.5499  0.2329  0.0998
O  0.9501  0.2329  0.5998
O  0.9179  0.5788  0.7724
O  0.5821  0.5788  0.2724
O  0.0821  0.4212  0.2276
O  0.4179  0.4212  0.7276
O  0.7916  0.6654  0.4036
O  0.7084  0.6654  0.9036
O  0.2084  0.3346  0.5964
O  0.2916  0.3346  0.0964
O  0.5399  0.9201  0.6782
O  0.9601  0.9201  0.1782
O  0.4601  0.0799  0.3218
O  0.0399  0.0799  0.8218
O  0.3261  0.0157  0.7485
O  0.1739  0.0157  0.2485
O  0.6739  0.9843  0.2515
O  0.8261  0.9843  0.7515
O  0.8389  0.7996  0.5144
O  0.6611  0.7996  0.0144
O  0.1611  0.2004  0.4856
O  0.3389  0.2004  0.9856
O  0.2427  0.9300  0.5114
O  0.2573  0.9300  0.0114
O  0.7573  0.0700  0.4886
O  0.7427  0.0700  0.9886
O  0.0329  0.8673  0.6687
O  0.4671  0.8673  0.1687
O  0.9671  0.1327  0.3313
O  0.5329  0.1327  0.8313

---

3.
Material: Cs4Sr3P12O36
Method: DFT, PBE
State: relaxed

The total energy is -0.253 hartree per atom.

Cell: 13.6512 13.6512 13.6512 Å, 109.47 109.47 109.47°
Sites, in units of the cell vectors:
Cs  0.2323  0.5000  0.0000
Cs  0.5000  0.0000  0.2323
Cs  0.0000  0.2323  0.5000
Cs  0.2677  0.2677  0.2677
Cs  0.5000  0.0000  0.7323
Cs  0.7323  0.5000  0.0000
Cs  0.0000  0.7323  0.5000
Cs  0.7677  0.7677  0.7677
Sr  0.3750  0.2500  0.6250
Sr  0.1250  0.7500  0.8750
Sr  0.2500  0.6250  0.3750
Sr  0.7500  0.8750  0.1250
Sr  0.6250  0.3750  0.2500
Sr  0.8750  0.1250  0.7500
P  0.1799  0.7601  0.1751
P  0.4151  0.7399  0.9198
P  0.0849  0.0048  0.3249
P  0.3201  0.4952  0.5802
P  0.6751  0.2601  0.6799
P  0.4198  0.2399  0.9151
P  0.8249  0.5048  0.5849
P  0.0802  0.9952  0.8201
P  0.7601  0.1751  0.1799
P  0.7399  0.9198  0.4151
P  0.0048  0.3249  0.0849
P  0.4952  0.5802  0.3201
P  0.2601  0.6799  0.6751
P  0.2399  0.9151  0.4198
P  0.5048  0.5849  0.8249
P  0.9952  0.8201  0.0802
P  0.1751  0.1799  0.7601
P  0.9198  0.4151  0.7399
P  0.3249  0.0849  0.0048
P  0.5802  0.3201  0.4952
P  0.6799  0.6751  0.2601
P  0.9151  0.4198  0.2399
P  0.5849  0.8249  0.5048
P  0.8201  0.0802  0.9952
O  0.9545  0.1962  0.0814
O  0.8852  0.3038  0.2582
O  0.6148  0.8731  0.4186
O  0.5455  0.6269  0.2418
O  0.5814  0.6962  0.4545
O  0.7582  0.8038  0.3852
O  0.9186  0.3731  0.1148
O  0.7418  0.1269  0.0455
O  0.1962  0.0814  0.9545
O  0.3038  0.2582  0.8852
O  0.8731  0.4186  0.6148
O  0.6269  0.2418  0.5455
O  0.6962  0.4545  0.5814
O  0.8038  0.3852  0.7582
O  0.3731  0.1148  0.9186
O  0.1269  0.0455  0.7418
O  0.0814  0.9545  0.1962
O  0.2582  0.8852  0.3038
O  0.4186  0.6148  0.8731
O  0.2418  0.5455  0.6269
O  0.4545  0.5814  0.6962
O  0.3852  0.7582  0.8038
O  0.1148  0.9186  0.3731
O  0.0455  0.7418  0.1269
O  0.1306  0.4015  0.1888
O  0.7874  0.0985  0.2292
O  0.7126  0.9418  0.3112
O  0.3694  0.5582  0.2708
O  0.6888  0.9015  0.6306
O  0.7292  0.5985  0.2874
O  0.8112  0.4418  0.2126
O  0.7708  0.0582  0.8694
O  0.4015  0.1888  0.1306
O  0.0985  0.2292  0.7874
O  0.9418  0.3112  0.7126
O  0.5582  0.2708  0.3694
O  0.9015  0.6306  0.6888
O  0.5985  0.2874  0.7292
O  0.4418  0.2126  0.8112
O  0.0582  0.8694  0.7708
O  0.1888  0.1306  0.4015
O  0.2292  0.7874  0.0985
O  0.3112  0.7126  0.9418
O  0.2708  0.3694  0.5582
O  0.6306  0.6888  0.9015
O  0.2874  0.7292  0.5985
O  0.2126  0.8112  0.4418
O  0.8694  0.7708  0.0582
O  0.6938  0.1565  0.6753
O  0.5188  0.3435  0.0373
O  0.9812  0.0185  0.8247
O  0.8062  0.4815  0.4627
O  0.1753  0.6565  0.1938
O  0.5373  0.8435  0.0188
O  0.3247  0.5185  0.4812
O  0.9627  0.9815  0.3062
O  0.1565  0.6753  0.6938
O  0.3435  0.0373  0.5188
O  0.0185  0.8247  0.9812
O  0.4815  0.4627  0.8062
O  0.6565  0.1938  0.1753
O  0.8435  0.0188  0.5373
O  0.5185  0.4812  0.3247
O  0.9815  0.3062  0.9627
O  0.6753  0.6938  0.1565
O  0.0373  0.5188  0.3435
O  0.8247  0.9812  0.0185
O  0.4627  0.8062  0.4815
O  0.1938  0.1753  0.6565
O  0.0188  0.5373  0.8435
O  0.4812  0.3247  0.5185
O  0.3062  0.9627  0.9815

---

Q: What is the formula in the second record?
A: CsSmP4O12